DFT (PBE with a Hubbard U) results for a relaxed CoH8C4N3O6 crystal.

Lattice parameters (Å, degrees): 8.528 8.845 12.026 90.00 90.00 90.00
Sites, in units of the cell vectors:
Co  0.000  0.001  0.000
Co  0.000  0.999  0.500
Co  0.500  0.499  0.000
Co  0.500  0.501  0.500
H  0.002  0.076  0.248
H  0.077  0.708  0.801
H  0.080  0.681  0.168
H  0.081  0.318  0.830
H  0.153  0.678  0.463
H  0.157  0.323  0.535
H  0.164  0.503  0.127
H  0.165  0.495  0.873
H  0.335  0.995  0.373
H  0.336  0.003  0.627
H  0.343  0.823  0.035
H  0.347  0.178  0.963
H  0.419  0.818  0.330
H  0.420  0.181  0.668
H  0.423  0.208  0.301
H  0.498  0.576  0.748
H  0.502  0.424  0.248
H  0.577  0.792  0.801
H  0.580  0.819  0.168
H  0.581  0.182  0.830
H  0.653  0.822  0.463
H  0.657  0.177  0.535
H  0.664  0.997  0.127
H  0.665  0.005  0.873
H  0.835  0.505  0.373
H  0.836  0.497  0.627
H  0.843  0.677  0.035
H  0.847  0.322  0.963
H  0.919  0.682  0.330
H  0.920  0.319  0.668
H  0.923  0.292  0.301
H  0.998  0.924  0.748
C  0.000  0.048  0.749
C  0.000  0.952  0.249
C  0.001  0.492  0.250
C  0.230  0.264  0.473
C  0.230  0.734  0.525
C  0.270  0.234  0.025
C  0.270  0.764  0.973
C  0.499  0.992  0.750
C  0.500  0.452  0.749
C  0.500  0.548  0.249
C  0.501  0.008  0.250
C  0.730  0.236  0.473
C  0.730  0.766  0.525
C  0.770  0.266  0.025
C  0.770  0.736  0.973
C  0.999  0.508  0.750
N  0.015  0.339  0.256
N  0.089  0.566  0.176
N  0.092  0.433  0.822
N  0.408  0.933  0.322
N  0.411  0.066  0.676
N  0.485  0.839  0.756
N  0.515  0.161  0.256
N  0.589  0.934  0.176
N  0.592  0.067  0.822
N  0.908  0.567  0.322
N  0.911  0.434  0.676
N  0.985  0.661  0.756
O  0.007  0.883  0.156
O  0.009  0.116  0.842
O  0.148  0.830  0.936
O  0.149  0.165  0.058
O  0.188  0.133  0.442
O  0.191  0.867  0.556
O  0.309  0.367  0.056
O  0.312  0.633  0.942
O  0.351  0.665  0.558
O  0.352  0.330  0.436
O  0.491  0.616  0.342
O  0.493  0.383  0.656
O  0.507  0.617  0.156
O  0.509  0.384  0.842
O  0.648  0.670  0.936
O  0.649  0.335  0.058
O  0.688  0.367  0.442
O  0.691  0.633  0.556
O  0.809  0.133  0.056
O  0.812  0.867  0.942
O  0.851  0.835  0.558
O  0.852  0.170  0.436
O  0.991  0.884  0.342
O  0.993  0.117  0.656

Results
Its formation enthalpy at 0 K is -0.712 eV/atom. The calculation puts the mass density at 1.85 g cm⁻³. The crystal system is orthorhombic.